Entry 1:
Density functional theory data (r²SCAN) for a relaxed HoGa3Os crystal.

The volume comes out at 258.1 Å³/cell.

Unit cell a=6.367 b=6.367 c=6.367 alpha=90.00 beta=90.00 gamma=90.00
Atoms (fractional coordinates):
Ho1 0.500 0.000 0.000
Ho2 0.000 0.500 0.000
Ho3 0.000 0.000 0.500
Ga1 0.290 0.290 0.290
Ga2 0.710 0.710 0.710
Ga3 0.710 0.710 0.290
Ga4 0.710 0.290 0.710
Ga5 0.290 0.290 0.710
Ga6 0.290 0.710 0.290
Ga7 0.290 0.710 0.710
Ga8 0.710 0.290 0.290
Ga9 0.000 0.000 0.000
Os1 0.000 0.500 0.500
Os2 0.500 0.000 0.500
Os3 0.500 0.500 0.000

Entry 2:
Density functional theory data (r²SCAN) for a relaxed HoGa2Pd crystal.

The volume comes out at 144.6 Å³/cell.

Unit cell a=5.488 b=5.488 c=6.545 alpha=90.00 beta=90.00 gamma=47.18
Atoms (fractional coordinates):
Ho1 0.412 0.412 0.250
Ho2 0.588 0.588 0.750
Ga1 0.127 0.127 0.054
Ga2 0.873 0.873 0.554
Ga3 0.873 0.873 0.946
Ga4 0.127 0.127 0.446
Pd1 0.701 0.701 0.250
Pd2 0.299 0.299 0.750

Entry 3:
Density functional theory data (r²SCAN) for a relaxed HoGaPd crystal.

The volume comes out at 231.1 Å³/cell.

Unit cell a=4.441 b=6.906 c=7.534 alpha=90.00 beta=90.00 gamma=90.00
Atoms (fractional coordinates):
Ho1 0.250 0.483 0.800
Ho2 0.750 0.517 0.200
Ho3 0.250 0.983 0.700
Ho4 0.750 0.017 0.300
Ga1 0.250 0.821 0.078
Ga2 0.750 0.179 0.922
Ga3 0.250 0.321 0.422
Ga4 0.750 0.679 0.578
Pd1 0.750 0.784 0.906
Pd2 0.250 0.216 0.094
Pd3 0.750 0.284 0.594
Pd4 0.250 0.716 0.406

Entry 4:
Density functional theory data (r²SCAN) for a relaxed Ho4Ga12Pd crystal.

The volume comes out at 310.3 Å³/cell.

Unit cell a=7.387 b=7.387 c=7.387 alpha=109.47 beta=109.47 gamma=109.47
Atoms (fractional coordinates):
Ho1 0.500 0.500 0.500
Ho2 0.000 0.000 0.500
Ho3 0.000 0.500 0.000
Ho4 0.500 0.000 0.000
Ga1 0.500 0.750 0.250
Ga2 0.500 0.250 0.750
Ga3 0.250 0.500 0.750
Ga4 0.750 0.500 0.250
Ga5 0.750 0.250 0.500
Ga6 0.250 0.750 0.500
Ga7 0.000 0.297 0.297
Ga8 0.000 0.703 0.703
Ga9 0.297 0.000 0.297
Ga10 0.703 0.000 0.703
Ga11 0.297 0.297 0.000
Ga12 0.703 0.703 0.000
Pd1 0.000 0.000 0.000

Entry 5:
Density functional theory data (r²SCAN) for a relaxed Ho4Ga12Pt crystal.

The volume comes out at 309.5 Å³/cell.

Unit cell a=7.381 b=7.381 c=7.381 alpha=109.47 beta=109.47 gamma=109.47
Atoms (fractional coordinates):
Ho1 0.500 0.500 0.500
Ho2 0.000 0.000 0.500
Ho3 0.000 0.500 0.000
Ho4 0.500 0.000 0.000
Ga1 0.000 0.298 0.298
Ga2 0.000 0.702 0.702
Ga3 0.298 0.000 0.298
Ga4 0.702 0.000 0.702
Ga5 0.298 0.298 0.000
Ga6 0.702 0.702 0.000
Ga7 0.500 0.750 0.250
Ga8 0.500 0.250 0.750
Ga9 0.250 0.500 0.750
Ga10 0.750 0.500 0.250
Ga11 0.750 0.250 0.500
Ga12 0.250 0.750 0.500
Pt1 0.000 0.000 0.000

Entry 6:
Density functional theory data (r²SCAN) for a relaxed HoGaPt crystal.

The volume comes out at 229.6 Å³/cell.

Unit cell a=4.399 b=6.883 c=7.583 alpha=90.00 beta=90.00 gamma=90.00
Atoms (fractional coordinates):
Ho1 0.250 0.012 0.800
Ho2 0.250 0.512 0.700
Ho3 0.750 0.988 0.200
Ho4 0.750 0.488 0.300
Ga1 0.250 0.175 0.422
Ga2 0.250 0.675 0.078
Ga3 0.750 0.825 0.578
Ga4 0.750 0.325 0.922
Pt1 0.250 0.778 0.406
Pt2 0.250 0.278 0.094
Pt3 0.750 0.222 0.594
Pt4 0.750 0.722 0.906

Entry 7:
Density functional theory data (r²SCAN) for a relaxed HoGaRh2 crystal.

The volume comes out at 65.0 Å³/cell.

Unit cell a=4.514 b=4.514 c=4.514 alpha=60.00 beta=60.00 gamma=60.00
Atoms (fractional coordinates):
Ho1 0.750 0.750 0.750
Ga1 0.250 0.250 0.250
Rh1 0.500 0.500 0.500
Rh2 0.000 0.000 0.000

Entry 8:
Density functional theory data (r²SCAN) for a relaxed HoTi2Ga4 crystal.

The volume comes out at 121.9 Å³/cell.

Unit cell a=5.423 b=5.462 c=5.462 alpha=75.73 beta=60.23 gamma=60.23
Atoms (fractional coordinates):
Ho1 0.000 0.000 0.000
Ti1 0.250 0.500 0.500
Ti2 0.750 0.500 0.500
Ga1 0.303 0.000 0.394
Ga2 0.697 0.000 0.606
Ga3 0.697 0.606 0.000
Ga4 0.303 0.394 0.000

Entry 9:
Density functional theory data (r²SCAN) for a relaxed Ho2ZnGa crystal.

The volume comes out at 87.7 Å³/cell.

Unit cell a=4.986 b=4.986 c=4.986 alpha=60.00 beta=60.00 gamma=60.00
Atoms (fractional coordinates):
Ho1 0.250 0.250 0.250
Ho2 0.750 0.750 0.750
Zn1 0.000 0.000 0.000
Ga1 0.500 0.500 0.500

Entry 10:
Density functional theory data (r²SCAN) for a relaxed Ga2I3 crystal.

The volume comes out at 790.5 Å³/cell.

Unit cell a=7.763 b=8.594 c=11.855 alpha=90.00 beta=91.81 gamma=90.00
Atoms (fractional coordinates):
Ga1 0.563 0.595 0.440
Ga2 0.534 0.889 0.805
Ga3 0.966 0.389 0.695
Ga4 0.063 0.905 0.940
Ga5 0.937 0.095 0.060
Ga6 0.466 0.111 0.195
Ga7 0.034 0.611 0.305
Ga8 0.437 0.405 0.560
I1 0.149 0.020 0.746
I2 0.351 0.520 0.754
I3 0.149 0.295 0.465
I4 0.649 0.205 0.965
I5 0.649 0.480 0.246
I6 0.857 0.670 0.905
I7 0.851 0.980 0.254
I8 0.643 0.170 0.595
I9 0.357 0.830 0.405
I10 0.851 0.705 0.535
I11 0.351 0.795 0.035
I12 0.143 0.330 0.095

Number 1: total moment 0.3 μB per cell, formation energy from the elements -0.562 eV/atom, E -24.601 eV per atom. Number 2: total moment 0.0 μB per cell, formation energy from the elements -0.860 eV/atom, E -20.542 eV per atom. Number 3: total moment 0.0 μB per cell, formation energy from the elements -0.958 eV/atom, E -23.387 eV per atom. Number 4: total moment 0.0 μB per cell, formation energy from the elements -0.643 eV/atom, E -17.808 eV per atom. Number 5: total moment 0.0 μB per cell, formation energy from the elements -0.673 eV/atom, E -19.515 eV per atom. Number 6: total moment 0.0 μB per cell, formation energy from the elements -1.231 eV/atom, E -33.168 eV per atom. Number 7: total moment 0.0 μB per cell, formation energy from the elements -0.903 eV/atom, E -24.052 eV per atom. Number 8: total moment 0.0 μB per cell, formation energy from the elements -0.597 eV/atom, E -15.530 eV per atom. Number 9: total moment 0.0 μB per cell, formation energy from the elements -0.547 eV/atom, E -22.076 eV per atom. Number 10: total moment 0.0 μB per cell, formation energy from the elements -0.469 eV/atom, E -19.781 eV per atom.